--- a ---
The following is a PBE+U calculation of a geometry-optimized MoSe2Cl4O structure, from the Materials Project.

- Volume: 3572 Å³/cell

abc: 7.974 16.211 28.355
angles: 102.93 90.00 90.00
Fractional coordinates of all 128 atoms:
Mo 0.282 0.675 0.778
Mo 0.589 0.606 0.054
Mo 0.782 0.325 0.722
Mo 0.790 0.816 0.240
Mo 0.710 0.816 0.740
Mo 0.911 0.606 0.554
Mo 0.290 0.184 0.260
Mo 0.718 0.325 0.222
Mo 0.089 0.394 0.446
Mo 0.618 0.084 0.562
Mo 0.882 0.084 0.062
Mo 0.218 0.675 0.278
Mo 0.382 0.916 0.438
Mo 0.210 0.184 0.760
Mo 0.118 0.916 0.938
Mo 0.411 0.394 0.946
Cl 0.425 0.703 0.855
Cl 0.172 0.531 0.533
Cl 0.824 0.952 0.087
Cl 0.661 0.496 0.097
Cl 0.328 0.531 0.033
Cl 0.516 0.690 0.997
Cl 0.875 0.629 0.043
Cl 0.924 0.787 0.161
Cl 0.054 0.808 0.982
Cl 0.657 0.973 0.461
Cl 0.096 0.904 0.452
Cl 0.839 0.496 0.597
Cl 0.343 0.027 0.539
Cl 0.647 0.469 0.228
Cl 0.661 0.181 0.229
Cl 0.267 0.148 0.175
Cl 0.075 0.703 0.355
Cl 0.176 0.048 0.913
Cl 0.484 0.310 0.003
Cl 0.642 0.964 0.744
Cl 0.353 0.531 0.772
Cl 0.625 0.629 0.543
Cl 0.767 0.852 0.325
Cl 0.446 0.808 0.482
Cl 0.828 0.469 0.467
Cl 0.576 0.787 0.661
Cl 0.161 0.504 0.403
Cl 0.946 0.192 0.018
Cl 0.324 0.048 0.413
Cl 0.125 0.371 0.957
Cl 0.241 0.639 0.691
Cl 0.339 0.819 0.771
Cl 0.016 0.310 0.503
Cl 0.651 0.673 0.744
Cl 0.147 0.531 0.272
Cl 0.554 0.192 0.518
Cl 0.741 0.361 0.809
Cl 0.076 0.213 0.839
Cl 0.375 0.371 0.457
Cl 0.849 0.673 0.244
Cl 0.984 0.690 0.497
Cl 0.925 0.297 0.645
Cl 0.759 0.361 0.309
Cl 0.676 0.952 0.587
Cl 0.424 0.213 0.339
Cl 0.404 0.904 0.952
Cl 0.161 0.819 0.271
Cl 0.142 0.036 0.756
Cl 0.575 0.297 0.145
Cl 0.157 0.027 0.039
Cl 0.358 0.036 0.256
Cl 0.843 0.973 0.961
Cl 0.151 0.327 0.756
Cl 0.858 0.964 0.244
Cl 0.853 0.469 0.728
Cl 0.233 0.148 0.675
Cl 0.672 0.469 0.967
Cl 0.596 0.096 0.048
Cl 0.904 0.096 0.548
Cl 0.839 0.181 0.729
Cl 0.339 0.504 0.903
Cl 0.349 0.327 0.256
Cl 0.733 0.852 0.825
Cl 0.259 0.639 0.191
Se 0.732 0.186 0.409
Se 0.266 0.904 0.668
Se 0.056 0.627 0.916
Se 0.775 0.562 0.348
Se 0.010 0.869 0.573
Se 0.268 0.814 0.591
Se 0.978 0.501 0.864
Se 0.197 0.312 0.099
Se 0.275 0.438 0.152
Se 0.734 0.096 0.332
Se 0.766 0.096 0.832
Se 0.022 0.499 0.136
Se 0.803 0.688 0.901
Se 0.232 0.814 0.091
Se 0.478 0.499 0.636
Se 0.510 0.131 0.927
Se 0.987 0.038 0.351
Se 0.013 0.962 0.649
Se 0.225 0.438 0.652
Se 0.513 0.038 0.851
Se 0.303 0.312 0.599
Se 0.944 0.373 0.084
Se 0.725 0.562 0.848
Se 0.990 0.131 0.427
Se 0.556 0.373 0.584
Se 0.490 0.869 0.073
Se 0.487 0.962 0.149
Se 0.444 0.627 0.416
Se 0.522 0.501 0.364
Se 0.234 0.904 0.168
Se 0.697 0.688 0.401
Se 0.768 0.186 0.909
O 0.087 0.854 0.882
O 0.082 0.680 0.797
O 0.914 0.811 0.723
O 0.414 0.189 0.777
O 0.037 0.319 0.396
O 0.918 0.320 0.203
O 0.582 0.320 0.703
O 0.463 0.319 0.896
O 0.413 0.854 0.382
O 0.913 0.146 0.118
O 0.418 0.680 0.297
O 0.586 0.811 0.223
O 0.963 0.681 0.604
O 0.587 0.146 0.618
O 0.537 0.681 0.104
O 0.086 0.189 0.277

--- b ---
The following is a PBE+U calculation of a geometry-optimized MoSe2Cl4O structure, from the Materials Project.

- Volume: 1745 Å³/cell

abc: 7.935 14.511 16.227
angles: 69.03 90.00 90.00
Fractional coordinates of all 64 atoms:
Mo 0.215 0.458 0.591
Mo 0.105 0.117 0.036
Mo 0.395 0.117 0.536
Mo 0.715 0.542 0.909
Mo 0.285 0.458 0.091
Mo 0.605 0.883 0.464
Mo 0.785 0.542 0.409
Mo 0.895 0.883 0.964
Se 0.220 0.808 0.790
Se 0.038 0.158 0.286
Se 0.538 0.842 0.214
Se 0.518 0.282 0.842
Se 0.780 0.192 0.210
Se 0.982 0.282 0.342
Se 0.962 0.842 0.714
Se 0.720 0.192 0.710
Se 0.018 0.718 0.658
Se 0.482 0.718 0.158
Se 0.280 0.808 0.290
Se 0.462 0.158 0.786
Se 0.726 0.317 0.264
Se 0.274 0.683 0.736
Se 0.774 0.317 0.764
Se 0.226 0.683 0.236
Cl 0.661 0.810 0.621
Cl 0.148 0.466 0.731
Cl 0.534 0.990 0.313
Cl 0.606 0.909 0.936
Cl 0.844 0.528 0.559
Cl 0.166 0.927 0.006
Cl 0.666 0.073 0.494
Cl 0.748 0.368 0.460
Cl 0.073 0.300 0.640
Cl 0.466 0.010 0.687
Cl 0.394 0.091 0.064
Cl 0.894 0.909 0.436
Cl 0.161 0.190 0.879
Cl 0.427 0.300 0.140
Cl 0.252 0.632 0.540
Cl 0.834 0.073 0.994
Cl 0.752 0.368 0.960
Cl 0.648 0.534 0.769
Cl 0.248 0.632 0.040
Cl 0.573 0.700 0.860
Cl 0.334 0.927 0.506
Cl 0.656 0.528 0.059
Cl 0.839 0.810 0.121
Cl 0.852 0.534 0.269
Cl 0.106 0.091 0.564
Cl 0.339 0.190 0.379
Cl 0.927 0.700 0.360
Cl 0.156 0.472 0.441
Cl 0.344 0.472 0.941
Cl 0.034 0.010 0.187
Cl 0.966 0.990 0.813
Cl 0.352 0.466 0.231
O 0.430 0.224 0.553
O 0.083 0.418 0.105
O 0.583 0.582 0.395
O 0.917 0.582 0.895
O 0.417 0.418 0.605
O 0.930 0.776 0.947
O 0.070 0.224 0.053
O 0.570 0.776 0.447

Of them, the most stable is a and the least stable is b.

--- a ---
The following is a PBE+U calculation of a geometry-optimized NiCl2O2 structure, from the Materials Project.

- Volume: 241 Å³/cell

abc: 7.089 7.089 6.682
angles: 62.88 62.88 57.06
Fractional coordinates of all 10 atoms:
O 0.497 0.018 0.402
O 0.503 0.982 0.598
O 0.018 0.497 0.402
O 0.982 0.503 0.598
Ni 0.750 0.250 0.000
Ni 0.250 0.750 0.000
Cl 0.934 0.934 0.849
Cl 0.066 0.066 0.151
Cl 0.461 0.461 0.807
Cl 0.539 0.539 0.193

--- b ---
The following is a PBE+U calculation of a geometry-optimized NiCl2O2 structure, from the Materials Project.

- Volume: 180 Å³/cell

abc: 6.083 6.083 6.696
angles: 59.08 59.08 66.83
Fractional coordinates of all 10 atoms:
Cl 0.802 0.802 0.207
Cl 0.751 0.751 0.738
Cl 0.249 0.249 0.262
Cl 0.198 0.198 0.793
O 0.653 0.273 0.346
O 0.273 0.653 0.346
O 0.727 0.347 0.654
O 0.347 0.727 0.654
Ni 0.000 0.500 0.500
Ni 0.500 0.000 0.500

Of them, the most stable is a and the least stable is b.

--- a ---
The following is a PBE+U calculation of a geometry-optimized NiCl2O6 structure, from the Materials Project.

- Volume: 322 Å³/cell

abc: 7.697 5.643 8.010
angles: 67.96 90.00 90.00
Fractional coordinates of all 18 atoms:
Cl 0.991 0.134 0.222
Cl 0.509 0.134 0.722
Cl 0.491 0.866 0.278
Cl 0.009 0.866 0.778
Ni 0.500 0.000 0.500
Ni 0.000 0.000 0.000
O 0.995 0.540 0.418
O 0.505 0.540 0.918
O 0.495 0.460 0.082
O 0.005 0.460 0.582
O 0.694 0.196 0.435
O 0.813 0.788 0.058
O 0.187 0.212 0.942
O 0.306 0.804 0.565
O 0.806 0.196 0.935
O 0.687 0.788 0.558
O 0.194 0.804 0.065
O 0.313 0.212 0.442

--- b ---
The following is a PBE+U calculation of a geometry-optimized NiCl2O6 structure, from the Materials Project.

- Volume: 157 Å³/cell

abc: 5.992 5.992 5.756
angles: 64.40 64.40 61.61
Fractional coordinates of all 9 atoms:
O 0.289 0.906 0.743
O 0.906 0.289 0.743
O 0.711 0.094 0.257
O 0.094 0.711 0.257
O 0.433 0.433 0.570
O 0.567 0.567 0.430
Cl 0.683 0.683 0.910
Cl 0.317 0.317 0.090
Ni 0.000 0.000 0.000

Of them, the most stable is a and the least stable is b.